Density functional theory data (PBE) for a geometry-optimized MgTi2Zn2P2O10 structure.

abc: 5.493 6.437 6.563
angles: 99.28 106.29 96.86
Atoms (fractional coordinates):
Mg (0.000, 0.000, 0.000)
Ti (0.850, 0.532, 0.646)
Ti (0.885, 0.593, 0.197)
Zn (0.346, 0.561, 0.863)
Zn (0.648, 0.996, 0.448)
P (0.199, 0.252, 0.410)
P (0.534, 0.111, 0.946)
O (0.105, 0.348, 0.204)
O (0.230, 0.016, 0.327)
O (0.248, 0.036, 0.844)
O (0.465, 0.373, 0.561)
O (0.584, 0.358, 0.047)
O (0.662, 0.995, 0.131)
O (0.690, 0.069, 0.781)
O (0.786, 0.714, 0.444)
O (0.879, 0.679, 0.932)
O (0.978, 0.257, 0.522)

Results
- space-group type = P1, No. 1
- E (eV per atom) = -6.8014
- formation energy from the elements (meV per atom) = -2487